Material: NaTi2O3
Method: DFT, PBE
State: optimized geometry

abc: 5.156 5.156 10.479
angles: 90.00 90.00 120.00
Fractional coordinates of all 24 atoms:
Na: 0.333 0.667 0.000
Na: 0.333 0.667 0.500
Na: 0.667 0.333 0.000
Na: 0.667 0.333 0.500
Ti: 0.000 0.000 0.000
Ti: 0.000 0.000 0.500
Ti: 0.000 0.333 0.250
Ti: 0.000 0.667 0.750
Ti: 0.333 0.000 0.250
Ti: 0.333 0.333 0.750
Ti: 0.667 0.000 0.750
Ti: 0.667 0.667 0.250
O: 0.000 0.315 0.627
O: 0.000 0.315 0.873
O: 0.000 0.685 0.127
O: 0.000 0.685 0.373
O: 0.315 0.000 0.627
O: 0.315 0.000 0.873
O: 0.315 0.315 0.127
O: 0.315 0.315 0.373
O: 0.685 0.000 0.127
O: 0.685 0.000 0.373
O: 0.685 0.685 0.627
O: 0.685 0.685 0.873

Properties
**Energy above the most stable polymorph in this dataset**: 24 meV/atom

Material: CdH6C2I2N2O2
Method: DFT, PBE
State: optimized geometry

abc: 4.276 7.901 8.445
angles: 115.20 95.05 92.13
Fractional coordinates of all 15 atoms:
Cd: 0.000 0.000 0.000
H: 0.131 0.868 0.531
H: 0.204 0.686 0.146
H: 0.279 0.652 0.405
H: 0.721 0.348 0.595
H: 0.796 0.314 0.854
H: 0.869 0.132 0.469
C: 0.138 0.799 0.267
C: 0.862 0.201 0.733
I: 0.454 0.714 0.831
I: 0.546 0.286 0.169
N: 0.188 0.771 0.412
N: 0.812 0.229 0.588
O: 0.025 0.943 0.264
O: 0.975 0.057 0.736

Material: Ba4Er3F17
Method: DFT, PBE
State: optimized geometry

abc: 9.358 9.391 9.400
angles: 72.69 72.86 72.97
Fractional coordinates of all 48 atoms:
Ba: 0.000 0.000 0.000
Ba: 0.046 0.619 0.789
Ba: 0.419 0.846 0.678
Ba: 0.466 0.466 0.465
Ba: 0.619 0.787 0.047
Ba: 0.677 0.420 0.848
Ba: 0.788 0.047 0.619
Ba: 0.847 0.677 0.419
Er: 0.124 0.266 0.560
Er: 0.201 0.897 0.341
Er: 0.260 0.555 0.128
Er: 0.340 0.203 0.899
Er: 0.569 0.125 0.264
Er: 0.915 0.341 0.203
F: 0.021 0.548 0.137
F: 0.081 0.280 0.989
F: 0.097 0.774 0.223
F: 0.143 0.032 0.529
F: 0.185 0.287 0.231
F: 0.186 0.479 0.389
F: 0.187 0.745 0.918
F: 0.222 0.097 0.773
F: 0.244 0.369 0.692
F: 0.279 0.721 0.548
F: 0.279 0.996 0.083
F: 0.324 0.435 0.933
F: 0.369 0.693 0.244
F: 0.384 0.186 0.471
F: 0.432 0.939 0.322
F: 0.464 0.646 0.955
F: 0.472 0.383 0.186
F: 0.511 0.001 0.819
F: 0.527 0.144 0.033
F: 0.547 0.279 0.721
F: 0.593 0.594 0.594
F: 0.647 0.954 0.466
F: 0.692 0.243 0.369
F: 0.721 0.548 0.279
F: 0.733 0.733 0.733
F: 0.744 0.919 0.187
F: 0.773 0.222 0.097
F: 0.819 0.511 0.001
F: 0.872 0.873 0.872
F: 0.918 0.187 0.745
F: 0.927 0.324 0.442
F: 0.954 0.466 0.647
F: 0.993 0.080 0.280
F: 0.999 0.819 0.512

Number 1: magnetization 0.0 μB/f.u., energy relative to the elements -2.75 eV/atom. Number 2: magnetization 0.0 μB/f.u., energy relative to the elements -0.64 eV/atom. Number 3: magnetization 0.0 μB/f.u., energy relative to the elements -4.34 eV/atom.